[1]
A plane-wave DFT calculation with PBE was carried out for crystalline Na2SbAu at its relaxed geometry.

Values from the calculation:
Electronic total energy ... -23.79 eV per cell
Energy of formation from the pure elements ... -0.46 eV per atom

a b c (Å): 6.039 6.039 5.929
angles (deg): 90.00 90.00 77.92
Positions (direct):
Na1 0.016 0.344 0.250
Na2 0.344 0.016 0.750
Na3 0.656 0.984 0.250
Na4 0.984 0.656 0.750
Sb1 0.202 0.798 0.250
Sb2 0.798 0.202 0.750
Au1 0.500 0.500 0.000
Au2 0.500 0.500 0.500


[2]
A plane-wave DFT calculation with PBE was carried out for crystalline K4Al3Si3ClO12 at its relaxed geometry.

Values from the calculation:
Electronic total energy ... -311.75 eV per cell
Energy of formation from the pure elements ... -3.08 eV per atom
Piezoelectric modulus e_max ... 0.0 C/m2

a b c (Å): 9.370 9.370 9.370
angles (deg): 90.00 90.00 90.00
Positions (direct):
K1 0.186 0.186 0.186
K2 0.186 0.814 0.814
K3 0.314 0.314 0.686
K4 0.314 0.686 0.314
K5 0.686 0.314 0.314
K6 0.686 0.686 0.686
K7 0.814 0.186 0.814
K8 0.814 0.814 0.186
Al1 0.000 0.250 0.500
Al2 0.000 0.750 0.500
Al3 0.250 0.500 0.000
Al4 0.500 0.000 0.250
Al5 0.500 0.000 0.750
Al6 0.750 0.500 0.000
Si1 0.000 0.500 0.250
Si2 0.000 0.500 0.750
Si3 0.250 0.000 0.500
Si4 0.500 0.250 0.000
Si5 0.500 0.750 0.000
Si6 0.750 0.000 0.500
Cl1 0.000 0.000 0.000
Cl2 0.500 0.500 0.500
O1 0.021 0.356 0.654
O2 0.021 0.644 0.346
O3 0.144 0.479 0.154
O4 0.144 0.521 0.846
O5 0.154 0.144 0.479
O6 0.154 0.856 0.521
O7 0.346 0.021 0.644
O8 0.346 0.979 0.356
O9 0.356 0.346 0.979
O10 0.356 0.654 0.021
O11 0.479 0.154 0.144
O12 0.479 0.846 0.856
O13 0.521 0.154 0.856
O14 0.521 0.846 0.144
O15 0.644 0.346 0.021
O16 0.644 0.654 0.979
O17 0.654 0.021 0.356
O18 0.654 0.979 0.644
O19 0.846 0.144 0.521
O20 0.846 0.856 0.479
O21 0.856 0.479 0.846
O22 0.856 0.521 0.154
O23 0.979 0.356 0.346
O24 0.979 0.644 0.654


[3]
A plane-wave DFT calculation with PBE was carried out for crystalline BaCu9Si4 at its relaxed geometry.

Values from the calculation:
Electronic total energy ... -126.39 eV per cell
Energy of formation from the pure elements ... -0.17 eV per atom

a b c (Å): 8.258 8.258 8.258
angles (deg): 120.28 120.28 89.52
Positions (direct):
Ba1 0.250 0.250 0.000
Ba2 0.750 0.750 0.000
Cu1 0.000 0.500 0.500
Cu2 0.059 0.559 0.255
Cu3 0.064 0.795 0.859
Cu4 0.195 0.941 0.500
Cu5 0.205 0.064 0.269
Cu6 0.295 0.564 0.859
Cu7 0.305 0.805 0.745
Cu8 0.436 0.295 0.731
Cu9 0.441 0.695 0.500
Cu10 0.500 0.000 0.500
Cu11 0.559 0.305 0.500
Cu12 0.564 0.705 0.269
Cu13 0.695 0.195 0.255
Cu14 0.705 0.436 0.141
Cu15 0.795 0.936 0.731
Cu16 0.805 0.059 0.500
Cu17 0.936 0.205 0.141
Cu18 0.941 0.441 0.745
Si1 0.060 0.209 0.500
Si2 0.209 0.709 0.149
Si3 0.291 0.440 0.500
Si4 0.440 0.940 0.149
Si5 0.560 0.060 0.851
Si6 0.709 0.560 0.500
Si7 0.791 0.291 0.851
Si8 0.940 0.791 0.500